First-principles (GGA-PBE) data for Nb7P4 after structural relaxation, as listed in Materials Project.

Results
E_tot   -203.6 eV for the cell shown
Symmetry   C2/m (12)

Unit cell a=7.7369 b=7.7369 c=13.9571 alpha=75.57 beta=75.57 gamma=25.83
Atoms (fractional coordinates):
Nb  0.2099  0.2099  0.1997
Nb  0.1749  0.1749  0.4594
Nb  0.0000  0.0000  0.0000
Nb  0.3379  0.3379  0.9725
Nb  0.5000  0.5000  0.5000
Nb  0.8050  0.8050  0.3125
Nb  0.7901  0.7901  0.8003
Nb  0.0037  0.0037  0.3344
Nb  0.1950  0.1950  0.6875
Nb  0.8251  0.8251  0.5406
Nb  0.9963  0.9963  0.6656
Nb  0.6621  0.6621  0.0275
Nb  0.4318  0.4318  0.1726
Nb  0.5682  0.5682  0.8274
P  0.6306  0.6306  0.3356
P  0.8263  0.8263  0.1125
P  0.3694  0.3694  0.6644
P  0.1737  0.1737  0.8875
P  0.6260  0.6260  0.6018
P  0.3740  0.3740  0.3982
P  0.9357  0.9357  0.8496
P  0.0643  0.0643  0.1504

First-principles (GGA-PBE) data for Nb2P after structural relaxation, as listed in Materials Project.

Results
E_tot   -505.4 eV for the cell shown
Symmetry   Pmma (51)

Unit cell a=3.4645 b=13.9315 c=18.1129 alpha=90.00 beta=90.00 gamma=90.00
Atoms (fractional coordinates):
Nb  0.0000  0.6565  0.5622
Nb  0.0000  0.5698  0.1207
Nb  0.5000  0.7600  0.8347
Nb  0.5000  0.2385  0.6624
Nb  0.0000  0.3435  0.0622
Nb  0.0000  0.4302  0.8793
Nb  0.5000  0.1619  0.0011
Nb  0.5000  0.5000  0.5000
Nb  0.5000  0.5000  0.0000
Nb  0.0000  0.0000  0.0000
Nb  0.0000  0.3435  0.4378
Nb  0.0000  0.3860  0.2500
Nb  0.5000  0.7615  0.3376
Nb  0.0000  0.1165  0.2500
Nb  0.5000  0.0034  0.3584
Nb  0.5000  0.2400  0.3347
Nb  0.5000  0.0034  0.1416
Nb  0.0000  0.6140  0.7500
Nb  0.5000  0.7615  0.1624
Nb  0.5000  0.1619  0.4989
Nb  0.5000  0.7600  0.6653
Nb  0.5000  0.2400  0.1653
Nb  0.0000  0.8835  0.7500
Nb  0.0000  0.4302  0.6207
Nb  0.0000  0.8885  0.2500
Nb  0.5000  0.2385  0.8376
Nb  0.0000  0.5698  0.3793
Nb  0.0000  0.1115  0.7500
Nb  0.5000  0.4391  0.7500
Nb  0.5000  0.5609  0.2500
Nb  0.5000  0.8381  0.9989
Nb  0.5000  0.9966  0.8584
Nb  0.5000  0.8381  0.5011
Nb  0.5000  0.9966  0.6416
Nb  0.0000  0.6565  0.9378
Nb  0.0000  0.0000  0.5000
P  0.0000  0.6903  0.2500
P  0.5000  0.3295  0.9547
P  0.5000  0.3295  0.5453
P  0.0000  0.1365  0.1038
P  0.0000  0.8721  0.3958
P  0.5000  0.4315  0.3561
P  0.0000  0.8635  0.6038
P  0.0000  0.1279  0.8958
P  0.5000  0.5685  0.8561
P  0.5000  0.6705  0.4547
P  0.0000  0.1279  0.6042
P  0.0000  0.8635  0.8962
P  0.0000  0.8721  0.1042
P  0.5000  0.5685  0.6439
P  0.0000  0.1365  0.3962
P  0.5000  0.6705  0.0453
P  0.5000  0.4315  0.1439
P  0.0000  0.3097  0.7500

First-principles (GGA-PBE) data for Nb2P after structural relaxation, as listed in Materials Project.

Results
Size of the total moment   0.0 μB per formula unit
E_tot   -456.1 eV for the cell shown
Symmetry   Pmma (51)

Unit cell a=3.9806 b=13.2576 c=18.6393 alpha=90.00 beta=90.00 gamma=90.00
Atoms (fractional coordinates):
Nb  0.0000  0.3228  0.4220
Nb  0.5000  0.8492  0.5077
Nb  0.5000  0.8492  0.9923
Nb  0.5000  0.2281  0.1699
Nb  0.5000  0.9526  0.2500
Nb  0.5000  0.0073  0.1186
Nb  0.0000  0.5582  0.1338
Nb  0.0000  0.5582  0.3662
Nb  0.0000  0.6772  0.9220
Nb  0.5000  0.2281  0.3301
Nb  0.5000  0.0073  0.3814
Nb  0.0000  0.4418  0.8662
Nb  0.5000  0.5000  0.0000
Nb  0.5000  0.1508  0.4923
Nb  0.5000  0.0474  0.7500
Nb  0.5000  0.1508  0.0077
Nb  0.0000  0.1095  0.2500
Nb  0.5000  0.2302  0.6604
Nb  0.0000  0.5000  0.5000
Nb  0.0000  0.5000  0.0000
Nb  0.5000  0.7719  0.8301
Nb  0.5000  0.7698  0.3396
Nb  0.0000  0.6772  0.5780
Nb  0.0000  0.6056  0.7500
Nb  0.5000  0.9927  0.8814
Nb  0.0000  0.3944  0.2500
Nb  0.5000  0.7698  0.1604
Nb  0.5000  0.9927  0.6186
Nb  0.5000  0.2302  0.8396
Nb  0.5000  0.7719  0.6699
Nb  0.0000  0.8905  0.7500
Nb  0.0000  0.3228  0.0780
Nb  0.0000  0.3560  0.7500
Nb  0.0000  0.4418  0.6338
Nb  0.5000  0.5000  0.5000
Nb  0.0000  0.6440  0.2500
P  0.0000  0.1355  0.3947
P  0.5000  0.3207  0.9590
P  0.5000  0.5765  0.8501
P  0.0000  0.1661  0.7500
P  0.5000  0.4235  0.3501
P  0.5000  0.5765  0.6499
P  0.0000  0.1355  0.1053
P  0.0000  0.1204  0.9142
P  0.0000  0.1204  0.5858
P  0.0000  0.8339  0.2500
P  0.5000  0.6793  0.4590
P  0.0000  0.8796  0.4142
P  0.0000  0.8796  0.0858
P  0.0000  0.8645  0.6053
P  0.5000  0.3207  0.5410
P  0.0000  0.8645  0.8947
P  0.5000  0.4235  0.1499
P  0.5000  0.6793  0.0410

First-principles (GGA-PBE) data for Nb2P5 after structural relaxation, as listed in Materials Project.

Results
E_tot   -204.8 eV for the cell shown
Symmetry   Pnma (62)

Unit cell a=3.3576 b=7.9482 c=16.8738 alpha=90.00 beta=90.00 gamma=90.00
Atoms (fractional coordinates):
P  0.7500  0.9619  0.4595
P  0.7500  0.3804  0.4784
P  0.7500  0.1840  0.3845
P  0.2500  0.0060  0.8157
P  0.7500  0.9940  0.1843
P  0.7500  0.5381  0.9595
P  0.7500  0.3478  0.1860
P  0.2500  0.6522  0.8140
P  0.7500  0.5060  0.6843
P  0.2500  0.6196  0.5216
P  0.7500  0.1196  0.9784
P  0.2500  0.4940  0.3157
P  0.7500  0.3160  0.8845
P  0.2500  0.8804  0.0216
P  0.2500  0.6840  0.1155
P  0.2500  0.8478  0.3140
P  0.7500  0.1522  0.6860
P  0.2500  0.8160  0.6155
P  0.2500  0.0381  0.5405
P  0.2500  0.4619  0.0405
Nb  0.7500  0.8357  0.9047
Nb  0.2500  0.1643  0.0953
Nb  0.7500  0.6643  0.4047
Nb  0.7500  0.6722  0.2257
Nb  0.2500  0.1722  0.2743
Nb  0.2500  0.3357  0.5953
Nb  0.2500  0.3278  0.7743
Nb  0.7500  0.8278  0.7257

First-principles (GGA-PBE) data for RbNb2PS10 after structural relaxation, as listed in Materials Project.

Results
Size of the total moment   0.0 μB per formula unit
E_tot   -156.3 eV for the cell shown
E (MP2020)   -166.3 eV for the cell shown
Symmetry   Pc (7)

Unit cell a=8.0810 b=7.5688 c=13.1240 alpha=70.20 beta=90.00 gamma=90.00
Atoms (fractional coordinates):
S  0.3789  0.6190  0.1490
S  0.8742  0.8358  0.2074
S  0.6211  0.6190  0.6490
S  0.6150  0.1251  0.5572
S  0.3462  0.8087  0.3411
S  0.1258  0.8358  0.7074
S  0.3850  0.1251  0.0572
S  0.3625  0.1157  0.7801
S  0.6211  0.1212  0.0020
S  0.3789  0.1212  0.5020
S  0.6192  0.6205  0.1047
S  0.0597  0.1986  0.2572
S  0.6375  0.1157  0.2801
S  0.6538  0.8087  0.8411
S  0.8782  0.8542  0.4637
S  0.5431  0.6262  0.3764
S  0.4569  0.6262  0.8764
S  0.3808  0.6205  0.6047
S  0.1218  0.8542  0.9637
S  0.9403  0.1986  0.7572
Rb  0.9933  0.4005  0.4584
Rb  0.0067  0.4005  0.9584
Nb  0.5574  0.8713  0.4732
Nb  0.5567  0.8687  0.1845
Nb  0.4426  0.8713  0.9732
Nb  0.4433  0.8687  0.6845
P  0.8803  0.0086  0.2998
P  0.1197  0.0086  0.7998

First-principles (GGA-PBE) data for RbNb2PSe10 after structural relaxation, as listed in Materials Project.

Results
Size of the total moment   0.0 μB per formula unit
E_tot   -139.3 eV for the cell shown
E (MP2020)   -148.8 eV for the cell shown
Symmetry   Pc (7)

Unit cell a=8.1046 b=7.6744 c=13.7743 alpha=73.23 beta=90.00 gamma=90.00
Atoms (fractional coordinates):
Se  0.8610  0.0071  0.9997
Se  0.5949  0.2722  0.8271
Se  0.5985  0.6063  0.1102
Se  0.9400  0.0113  0.7256
Se  0.8587  0.5107  0.6436
Se  0.1413  0.5107  0.1436
Se  0.1345  0.0060  0.9501
Se  0.0600  0.0113  0.2256
Se  0.4051  0.2722  0.3271
Se  0.8655  0.0060  0.4501
Se  0.8510  0.5060  0.3651
Se  0.1390  0.0071  0.4997
Se  0.1186  0.5250  0.4252
Se  0.1490  0.5060  0.8651
Se  0.1634  0.2164  0.6930
Se  0.8366  0.2164  0.1930
Se  0.8814  0.5250  0.9252
Se  0.3946  0.2075  0.0689
Se  0.6054  0.2075  0.5689
Se  0.4015  0.6063  0.6102
Nb  0.0609  0.2575  0.0396
Nb  0.9391  0.2575  0.5396
Nb  0.0597  0.2653  0.3326
Nb  0.9403  0.2653  0.8326
Rb  0.5108  0.8135  0.8083
Rb  0.4892  0.8135  0.3083
P  0.5959  0.4063  0.6596
P  0.4041  0.4063  0.1596

First-principles (GGA-PBE) data for NbPRh after structural relaxation, as listed in Materials Project.

Results
E_tot   -102.0 eV for the cell shown
Symmetry   Pnma (62)

Unit cell a=3.7926 b=6.3687 c=7.2219 alpha=90.00 beta=90.00 gamma=90.00
Atoms (fractional coordinates):
Rh  0.7500  0.3511  0.9381
Rh  0.7500  0.8511  0.5619
Rh  0.2500  0.6489  0.0619
Rh  0.2500  0.1489  0.4381
Nb  0.7500  0.4699  0.3323
Nb  0.7500  0.9699  0.1677
Nb  0.2500  0.0301  0.8323
Nb  0.2500  0.5301  0.6677
P  0.2500  0.7646  0.3750
P  0.2500  0.2646  0.1250
P  0.7500  0.2354  0.6250
P  0.7500  0.7354  0.8750

First-principles (GGA-PBE) data for NbP2S8 after structural relaxation, as listed in Materials Project.

Results
Polymorph energy (0 for the lowest one)   0 meV per atom
E_tot   -235.4 eV for the cell shown
E (MP2020)   -251.5 eV for the cell shown
Symmetry   Cmce (64)

Unit cell a=11.7818 b=11.7818 c=10.8220 alpha=90.00 beta=90.00 gamma=118.96
Atoms (fractional coordinates):
P  0.1255  0.5042  0.4864
P  0.8745  0.4958  0.5136
P  0.9958  0.3745  0.9864
P  0.0042  0.6255  0.0136
P  0.3745  0.9958  0.9864
P  0.6255  0.0042  0.0136
P  0.5042  0.1255  0.4864
P  0.4958  0.8745  0.5136
S  0.6390  0.6390  0.6111
S  0.4100  0.7444  0.6480
S  0.5900  0.2556  0.3520
S  0.7983  0.5696  0.3925
S  0.5141  0.5141  0.3097
S  0.2556  0.5900  0.3520
S  0.7556  0.0900  0.1480
S  0.2017  0.4304  0.6075
S  0.7017  0.9304  0.8925
S  0.4304  0.2017  0.6075
S  0.4859  0.4859  0.6903
S  0.5635  0.1296  0.9268
S  0.8610  0.8610  0.1111
S  0.0635  0.6296  0.5732
S  0.9100  0.2444  0.8520
S  0.7444  0.4100  0.6480
S  0.5696  0.7983  0.3925
S  0.0696  0.2983  0.1075
S  0.3704  0.9365  0.4268
S  0.0900  0.7556  0.1480
S  0.2444  0.9100  0.8520
S  0.9304  0.7017  0.8925
S  0.6296  0.0635  0.5732
S  0.1296  0.5635  0.9268
S  0.3610  0.3610  0.3889
S  0.9859  0.9859  0.8097
S  0.2983  0.0696  0.1075
S  0.1390  0.1390  0.8889
S  0.9365  0.3704  0.4268
S  0.4365  0.8704  0.0732
S  0.8704  0.4365  0.0732
S  0.0141  0.0141  0.1903
Nb  0.0717  0.9283  0.0000
Nb  0.4283  0.5717  0.5000
Nb  0.9283  0.0717  0.0000
Nb  0.5717  0.4283  0.5000

First-principles (GGA-PBE) data for NbP2S8 after structural relaxation, as listed in Materials Project.

Results
Polymorph energy (0 for the lowest one)   7 meV per atom
Maximum piezoelectric response   0.048 C/m²
Size of the total moment   0.0 μB per formula unit
E_tot   -235.0 eV for the cell shown
E (MP2020)   -251.1 eV for the cell shown
Symmetry   P-4n2 (118)

Unit cell a=12.2795 b=12.2795 c=7.7176 alpha=90.00 beta=90.00 gamma=90.00
Atoms (fractional coordinates):
S  0.1469  0.9774  0.1502
S  0.5586  0.0578  0.5169
S  0.7114  0.8187  0.9897
S  0.5074  0.2758  0.7876
S  0.3531  0.4774  0.6502
S  0.2886  0.1813  0.9897
S  0.5226  0.3531  0.3498
S  0.9414  0.5578  0.0169
S  0.6813  0.7886  0.5103
S  0.0226  0.1469  0.8498
S  0.3187  0.2114  0.5103
S  0.8187  0.2886  0.0103
S  0.9926  0.7758  0.2876
S  0.0586  0.4422  0.0169
S  0.1813  0.7114  0.0103
S  0.7886  0.3187  0.4897
S  0.0074  0.2242  0.2876
S  0.4926  0.7242  0.7876
S  0.5578  0.0586  0.9831
S  0.2242  0.9926  0.7124
S  0.7758  0.0074  0.7124
S  0.7242  0.5074  0.2124
S  0.2114  0.6813  0.4897
S  0.9774  0.8531  0.8498
S  0.4422  0.9414  0.9831
S  0.0578  0.4414  0.4831
S  0.2758  0.4926  0.2124
S  0.6469  0.5226  0.6502
S  0.4414  0.9422  0.5169
S  0.8531  0.0226  0.1502
S  0.4774  0.6469  0.3498
S  0.9422  0.5586  0.4831
P  0.3258  0.5740  0.4242
P  0.4260  0.3258  0.5758
P  0.6742  0.4260  0.4242
P  0.8258  0.9260  0.9242
P  0.0740  0.8258  0.0758
P  0.5740  0.6742  0.5758
P  0.1742  0.0740  0.9242
P  0.9260  0.1742  0.0758
Nb  0.5836  0.9164  0.7500
Nb  0.9164  0.4164  0.2500
Nb  0.4164  0.0836  0.7500
Nb  0.0836  0.5836  0.2500

First-principles (GGA-PBE) data for Nb5Si3P after structural relaxation, as listed in Materials Project.

Results
Size of the total moment   0.1 μB per formula unit
E_tot   -155.8 eV for the cell shown
Symmetry   P6_3/mcm (193)

Unit cell a=7.7552 b=7.7552 c=5.4795 alpha=90.00 beta=90.00 gamma=120.00
Atoms (fractional coordinates):
P  0.0000  0.0000  0.5000
P  0.0000  0.0000  0.0000
Nb  0.6667  0.3333  0.5000
Nb  0.3333  0.6667  0.5000
Nb  0.0000  0.7370  0.2500
Nb  0.0000  0.2630  0.7500
Nb  0.2630  0.0000  0.7500
Nb  0.3333  0.6667  0.0000
Nb  0.2630  0.2630  0.2500
Nb  0.6667  0.3333  0.0000
Nb  0.7370  0.7370  0.7500
Nb  0.7370  0.0000  0.2500
Si  0.0000  0.4004  0.2500
Si  0.5996  0.0000  0.7500
Si  0.0000  0.5996  0.7500
Si  0.4004  0.4004  0.7500
Si  0.5996  0.5996  0.2500
Si  0.4004  0.0000  0.2500

First-principles (GGA-PBE) data for NbVP after structural relaxation, as listed in Materials Project.

Results
E_tot   -109.0 eV for the cell shown
Symmetry   Pnma (62)

Unit cell a=3.4197 b=6.4257 c=7.7209 alpha=90.00 beta=90.00 gamma=90.00
Atoms (fractional coordinates):
P  0.2500  0.2610  0.1385
P  0.2500  0.7610  0.3615
P  0.7500  0.7390  0.8615
P  0.7500  0.2390  0.6385
V  0.7500  0.3643  0.9421
V  0.2500  0.1357  0.4421
V  0.2500  0.6357  0.0579
V  0.7500  0.8643  0.5579
Nb  0.7500  0.4623  0.3313
Nb  0.2500  0.5377  0.6687
Nb  0.2500  0.0377  0.8313
Nb  0.7500  0.9623  0.1687

Which of these has the lowest E_tot? number 2

Repeat the second record exactly.
First-principles (GGA-PBE) data for Nb2P after structural relaxation, as listed in Materials Project.

Results
E_tot   -505.4 eV for the cell shown
Symmetry   Pmma (51)

Unit cell a=3.4645 b=13.9315 c=18.1129 alpha=90.00 beta=90.00 gamma=90.00
Atoms (fractional coordinates):
Nb  0.0000  0.6565  0.5622
Nb  0.0000  0.5698  0.1207
Nb  0.5000  0.7600  0.8347
Nb  0.5000  0.2385  0.6624
Nb  0.0000  0.3435  0.0622
Nb  0.0000  0.4302  0.8793
Nb  0.5000  0.1619  0.0011
Nb  0.5000  0.5000  0.5000
Nb  0.5000  0.5000  0.0000
Nb  0.0000  0.0000  0.0000
Nb  0.0000  0.3435  0.4378
Nb  0.0000  0.3860  0.2500
Nb  0.5000  0.7615  0.3376
Nb  0.0000  0.1165  0.2500
Nb  0.5000  0.0034  0.3584
Nb  0.5000  0.2400  0.3347
Nb  0.5000  0.0034  0.1416
Nb  0.0000  0.6140  0.7500
Nb  0.5000  0.7615  0.1624
Nb  0.5000  0.1619  0.4989
Nb  0.5000  0.7600  0.6653
Nb  0.5000  0.2400  0.1653
Nb  0.0000  0.8835  0.7500
Nb  0.0000  0.4302  0.6207
Nb  0.0000  0.8885  0.2500
Nb  0.5000  0.2385  0.8376
Nb  0.0000  0.5698  0.3793
Nb  0.0000  0.1115  0.7500
Nb  0.5000  0.4391  0.7500
Nb  0.5000  0.5609  0.2500
Nb  0.5000  0.8381  0.9989
Nb  0.5000  0.9966  0.8584
Nb  0.5000  0.8381  0.5011
Nb  0.5000  0.9966  0.6416
Nb  0.0000  0.6565  0.9378
Nb  0.0000  0.0000  0.5000
P  0.0000  0.6903  0.2500
P  0.5000  0.3295  0.9547
P  0.5000  0.3295  0.5453
P  0.0000  0.1365  0.1038
P  0.0000  0.8721  0.3958
P  0.5000  0.4315  0.3561
P  0.0000  0.8635  0.6038
P  0.0000  0.1279  0.8958
P  0.5000  0.5685  0.8561
P  0.5000  0.6705  0.4547
P  0.0000  0.1279  0.6042
P  0.0000  0.8635  0.8962
P  0.0000  0.8721  0.1042
P  0.5000  0.5685  0.6439
P  0.0000  0.1365  0.3962
P  0.5000  0.6705  0.0453
P  0.5000  0.4315  0.1439
P  0.0000  0.3097  0.7500

Which formula does entry 11 have? NbVP

E_tot of number 4 (Nb2P5)? -204.8 eV for the cell shown